Record 1
First-principles (PBE-GGA) data for a relaxed structure of Bi7S9Cl3, as listed in Materials Project. Values from VASP.

The structure in Quantum ESPRESSO input format:
```
&SYSTEM
  ibrav = 0, nat = 19, ntyp = 3
/
ATOMIC_SPECIES
Bi 208.98 Bi.upf
S 32.06 S.upf
Cl 35.45 Cl.upf
CELL_PARAMETERS angstrom
11.1374 0.0000 0.0000
0.0000 4.3879 0.0000
-5.0903 0.0000 12.1502
ATOMIC_POSITIONS crystal
Bi 0.0000 0.0000 0.0000
Bi 0.0909 0.5000 0.6937
Bi 0.1901 0.5000 0.4281
Bi 0.3968 0.5000 0.1474
Bi 0.5801 0.0000 0.9305
Bi 0.7383 0.5000 0.7443
Bi 0.8325 0.0000 0.4274
S 0.0676 0.0000 0.5669
S 0.1608 0.5000 0.9924
S 0.2988 0.5000 0.6389
S 0.5676 0.0000 0.7233
S 0.5697 0.5000 0.0633
S 0.8065 0.5000 0.5528
S 0.8094 0.5000 0.9677
S 0.9303 0.0000 0.7905
S 0.9384 0.5000 0.3410
Cl 0.1950 0.0000 0.2855
Cl 0.3247 0.0000 0.8701
Cl 0.5179 0.0000 0.2791
```

Values from the calculation:
* VASP energy: -4.00 eV per atom

***

Record 2
First-principles (PBE-GGA) data for a relaxed structure of La2Al2I, as listed in Materials Project. Values from VASP.

The structure in Quantum ESPRESSO input format:
```
&SYSTEM
  ibrav = 0, nat = 10, ntyp = 3
/
ATOMIC_SPECIES
La 138.91 La.upf
Al 26.98 Al.upf
I 126.90 I.upf
CELL_PARAMETERS angstrom
4.4000 0.0000 0.0000
-2.2000 3.8105 0.0000
0.0000 0.0000 17.7000
ATOMIC_POSITIONS crystal
La 0.0000 0.0000 0.1192
La 0.0000 0.0000 0.3808
La 0.0000 0.0000 0.6192
La 0.0000 0.0000 0.8808
Al 0.3333 0.6667 0.0062
Al 0.3333 0.6667 0.4938
Al 0.6667 0.3333 0.5062
Al 0.6667 0.3333 0.9938
I 0.3333 0.6667 0.7500
I 0.6667 0.3333 0.2500
```

Values from the calculation:
* VASP energy: -4.58 eV per atom

***

Record 3
First-principles (PBE-GGA) data for a relaxed structure of Ta, as listed in Materials Project. Values from VASP.

The structure in Quantum ESPRESSO input format:
```
&SYSTEM
  ibrav = 0, nat = 30, ntyp = 1
/
ATOMIC_SPECIES
Ta 180.95 Ta.upf
CELL_PARAMETERS angstrom
10.2476 0.0000 0.0000
0.0000 10.2476 0.0000
0.0000 0.0000 5.3468
ATOMIC_POSITIONS crystal
Ta 0.0000 0.5000 0.2428
Ta 0.0348 0.1289 0.7429
Ta 0.0674 0.2387 0.2433
Ta 0.1048 0.3952 0.7405
Ta 0.1289 0.9652 0.2571
Ta 0.1813 0.6813 0.4993
Ta 0.1810 0.6810 0.9976
Ta 0.2387 0.9326 0.7567
Ta 0.2613 0.4326 0.2433
Ta 0.3190 0.1810 0.0024
Ta 0.3187 0.1813 0.5007
Ta 0.3711 0.4652 0.7429
Ta 0.3952 0.8952 0.2595
Ta 0.4326 0.7387 0.7567
Ta 0.4652 0.6289 0.2571
Ta 0.5000 0.0000 0.7572
Ta 0.5348 0.3711 0.2571
Ta 0.5674 0.2613 0.7567
Ta 0.6048 0.1048 0.2595
Ta 0.6289 0.5348 0.7429
Ta 0.6810 0.8190 0.0024
Ta 0.6813 0.8187 0.5007
Ta 0.7387 0.5674 0.2433
Ta 0.7613 0.0674 0.7567
Ta 0.8187 0.3187 0.4993
Ta 0.8190 0.3190 0.9976
Ta 0.8711 0.0348 0.2571
Ta 0.8952 0.6048 0.7405
Ta 0.9326 0.7613 0.2433
Ta 0.9652 0.8711 0.7429
```

Values from the calculation:
* VASP energy: -11.85 eV per atom
* offset from the most stable computed form: 7 meV/atom

***

Record 4
First-principles (PBE-GGA) data for a relaxed structure of CaB2Rh2, as listed in Materials Project. Values from VASP.

The structure in Quantum ESPRESSO input format:
```
&SYSTEM
  ibrav = 0, nat = 10, ntyp = 3
/
ATOMIC_SPECIES
Ca 40.08 Ca.upf
B 10.81 B.upf
Rh 102.91 Rh.upf
CELL_PARAMETERS angstrom
0.0000 4.6512 5.3191
2.9699 0.0000 5.3191
2.9699 4.6512 0.0000
ATOMIC_POSITIONS crystal
Ca 0.1250 0.1250 0.1250
Ca 0.8750 0.8750 0.8750
B 0.1993 0.5507 0.1993
B 0.4493 0.8007 0.4493
B 0.5507 0.1993 0.5507
B 0.8007 0.4493 0.8007
Rh 0.2448 0.2448 0.5052
Rh 0.4948 0.4948 0.7552
Rh 0.5052 0.5052 0.2448
Rh 0.7552 0.7552 0.4948
```

Values from the calculation:
* VASP energy: -6.62 eV per atom

***

Record 5
First-principles (PBE-GGA) data for a relaxed structure of CoGe, as listed in Materials Project. Values from VASP.

The structure in Quantum ESPRESSO input format:
```
&SYSTEM
  ibrav = 0, nat = 8, ntyp = 2
/
ATOMIC_SPECIES
Co 58.93 Co.upf
Ge 72.64 Ge.upf
CELL_PARAMETERS angstrom
6.2585 -1.8990 0.0000
6.2585 1.8990 0.0000
-1.0425 0.0000 4.7267
ATOMIC_POSITIONS crystal
Co 0.0000 0.0000 0.0000
Co 0.0297 0.0297 0.4888
Co 0.2405 0.2405 0.3908
Co 0.5657 0.5657 0.7883
Ge 0.1922 0.1922 0.8626
Ge 0.4065 0.4065 0.2173
Ge 0.6226 0.6226 0.2982
Ge 0.8537 0.8537 0.6154
```

Values from the calculation:
* VASP energy: -5.86 eV per atom

***

Record 6
First-principles (PBE-GGA) data for a relaxed structure of Sm4AlSi5N7O7, as listed in Materials Project. Values from VASP.

The structure in Quantum ESPRESSO input format:
```
&SYSTEM
  ibrav = 0, nat = 72, ntyp = 5
/
ATOMIC_SPECIES
Sm 150.36 Sm.upf
Al 26.98 Al.upf
Si 28.09 Si.upf
N 14.01 N.upf
O 16.00 O.upf
CELL_PARAMETERS angstrom
6.8353 0.0000 0.0000
-0.0417 6.9710 0.0000
-2.3930 -0.8643 19.8155
ATOMIC_POSITIONS crystal
Sm 0.0000 0.0000 0.0000
Sm 0.0091 0.2218 0.1799
Sm 0.0584 0.9837 0.6599
Sm 0.1219 0.9985 0.3557
Sm 0.3877 0.0485 0.8237
Sm 0.4255 0.9787 0.1942
Sm 0.4725 0.2057 0.0234
Sm 0.5353 0.9774 0.5444
Sm 0.5531 0.2651 0.6874
Sm 0.5778 0.2913 0.3421
Sm 0.8868 0.2063 0.8494
Sm 0.9520 0.2517 0.5019
Al 0.1003 0.3985 0.3235
Al 0.1562 0.4778 0.9460
Al 0.7241 0.5779 0.6060
Si 0.0989 0.4593 0.6377
Si 0.1726 0.6136 0.1085
Si 0.2780 0.6714 0.4302
Si 0.2814 0.6423 0.7642
Si 0.3194 0.4345 0.5551
Si 0.4899 0.5125 0.9088
Si 0.4921 0.4379 0.1996
Si 0.5969 0.8063 0.0704
Si 0.6337 0.8149 0.7246
Si 0.6649 0.8548 0.3944
Si 0.6937 0.6380 0.2787
Si 0.7692 0.5366 0.9857
Si 0.8823 0.7677 0.1992
Si 0.8854 0.7767 0.4871
Si 0.8941 0.7287 0.8301
N 0.1832 0.8672 0.0961
N 0.1973 0.2891 0.4130
N 0.2110 0.3627 0.0854
N 0.2284 0.4232 0.7198
N 0.2291 0.2382 0.7507
N 0.2581 0.2450 0.2734
N 0.2869 0.4380 0.4621
N 0.3224 0.1979 0.5808
N 0.3539 0.8986 0.0580
N 0.3631 0.2800 0.1361
N 0.3790 0.8187 0.7242
N 0.4360 0.8572 0.4243
N 0.5937 0.2712 0.9091
N 0.6787 0.0486 0.7710
N 0.7059 0.2866 0.2199
N 0.7211 0.2960 0.5907
N 0.7298 0.8948 0.1432
N 0.7695 0.2871 0.9653
N 0.7918 0.0787 0.3982
N 0.8335 0.3852 0.2768
N 0.9190 0.2749 0.6289
O 0.0074 0.6047 0.0069
O 0.0571 0.9180 0.2353
O 0.1031 0.7781 0.7931
O 0.1192 0.7996 0.4702
O 0.1612 0.6382 0.3513
O 0.1789 0.2181 0.9402
O 0.3904 0.6367 0.1616
O 0.4346 0.5870 0.8317
O 0.4728 0.6257 0.5646
O 0.5852 0.8690 0.2981
O 0.6487 0.5691 0.0552
O 0.6599 0.5745 0.6954
O 0.6756 0.9184 0.0076
O 0.6916 0.9038 0.6505
O 0.7080 0.6134 0.3649
O 0.8441 0.5716 0.5206
O 0.8919 0.9560 0.5454
O 0.9246 0.9030 0.8909
O 0.9803 0.6626 0.6441
O 0.9836 0.5281 0.8714
O 0.9945 0.5870 0.1593
```

Values from the calculation:
* VASP energy: -7.56 eV per atom
* offset from the most stable computed form: 25 meV/atom

***

Record 7
First-principles (PBE-GGA) data for a relaxed structure of Ga3Te, as listed in Materials Project. Values from VASP.

The structure in Quantum ESPRESSO input format:
```
&SYSTEM
  ibrav = 0, nat = 8, ntyp = 2
/
ATOMIC_SPECIES
Ga 69.72 Ga.upf
Te 127.60 Te.upf
CELL_PARAMETERS angstrom
6.3941 0.0000 0.0000
-3.1971 5.5375 0.0000
0.0000 0.0000 5.2619
ATOMIC_POSITIONS crystal
Ga 0.1584 0.3168 0.2500
Ga 0.1584 0.8416 0.2500
Ga 0.3168 0.1584 0.7500
Ga 0.6832 0.8416 0.2500
Ga 0.8416 0.1584 0.7500
Ga 0.8416 0.6832 0.7500
Te 0.3333 0.6667 0.7500
Te 0.6667 0.3333 0.2500
```

Values from the calculation:
* VASP energy: -3.03 eV per atom
* offset from the most stable computed form: 16 meV/atom

***

Record 8
First-principles (PBE-GGA) data for a relaxed structure of TaCo2, as listed in Materials Project. Values from VASP.

The structure in Quantum ESPRESSO input format:
```
&SYSTEM
  ibrav = 0, nat = 6, ntyp = 2
/
ATOMIC_SPECIES
Ta 180.95 Ta.upf
Co 58.93 Co.upf
CELL_PARAMETERS angstrom
0.0000 3.3647 3.3647
3.3647 0.0000 3.3647
3.3647 3.3647 0.0000
ATOMIC_POSITIONS crystal
Ta 0.1250 0.1250 0.1250
Ta 0.8750 0.8750 0.8750
Co 0.0000 0.5000 0.5000
Co 0.5000 0.0000 0.5000
Co 0.5000 0.5000 0.0000
Co 0.5000 0.5000 0.5000
```

Values from the calculation:
* VASP energy: -8.91 eV per atom

***

Record 9
First-principles (PBE-GGA) data for a relaxed structure of TiS2, as listed in Materials Project. Values from VASP.

The structure in Quantum ESPRESSO input format:
```
&SYSTEM
  ibrav = 0, nat = 6, ntyp = 2
/
ATOMIC_SPECIES
Ti 47.87 Ti.upf
S 32.06 S.upf
CELL_PARAMETERS angstrom
-2.9140 2.9140 5.0255
2.9140 -2.9140 5.0255
2.9140 2.9140 -5.0255
ATOMIC_POSITIONS crystal
Ti 0.0000 0.0000 0.0000
Ti 0.7500 0.2500 0.5000
S 0.0837 0.6250 0.9587
S 0.3750 0.3337 0.4587
S 0.6663 0.1250 0.0413
S 0.8750 0.9163 0.5413
```

Values from the calculation:
* VASP energy: -6.44 eV per atom

***

Record 10
First-principles (PBE-GGA) data for a relaxed structure of FeSe, as listed in Materials Project. Values from VASP.

The structure in Quantum ESPRESSO input format:
```
&SYSTEM
  ibrav = 0, nat = 2, ntyp = 2
/
ATOMIC_SPECIES
Fe 55.84 Fe.upf
Se 78.96 Se.upf
CELL_PARAMETERS angstrom
3.0440 0.0000 0.0000
0.0000 3.0440 0.0000
0.0000 0.0000 3.0440
ATOMIC_POSITIONS crystal
Fe 0.0000 0.0000 0.0000
Se 0.5000 0.5000 0.5000
```

Values from the calculation:
* VASP energy: -5.73 eV per atom

***

Record 11
First-principles (PBE-GGA) data for a relaxed structure of Tb2NiSb4, as listed in Materials Project. Values from VASP.

The structure in Quantum ESPRESSO input format:
```
&SYSTEM
  ibrav = 0, nat = 7, ntyp = 3
/
ATOMIC_SPECIES
Tb 158.93 Tb.upf
Ni 58.69 Ni.upf
Sb 121.76 Sb.upf
CELL_PARAMETERS angstrom
4.3472 0.0000 0.0000
0.0000 4.3472 0.0000
0.0000 0.0000 9.3280
ATOMIC_POSITIONS crystal
Tb 0.0000 0.5000 0.2365
Tb 0.5000 0.0000 0.7635
Ni 0.0000 0.0000 0.0000
Sb 0.0000 0.0000 0.5000
Sb 0.0000 0.5000 0.8708
Sb 0.5000 0.0000 0.1292
Sb 0.5000 0.5000 0.5000
```

Values from the calculation:
* VASP energy: -5.25 eV per atom

***

Record 12
First-principles (PBE-GGA) data for a relaxed structure of Rb3FeCl5, as listed in Materials Project. Values from VASP.

The structure in Quantum ESPRESSO input format:
```
&SYSTEM
  ibrav = 0, nat = 18, ntyp = 3
/
ATOMIC_SPECIES
Rb 85.47 Rb.upf
Fe 55.84 Fe.upf
Cl 35.45 Cl.upf
CELL_PARAMETERS angstrom
-4.4929 4.4929 7.3320
4.4929 -4.4929 7.3320
4.4929 4.4929 -7.3320
ATOMIC_POSITIONS crystal
Rb 0.1677 0.6677 0.8354
Rb 0.2500 0.2500 0.0000
Rb 0.3323 0.1677 0.5000
Rb 0.6677 0.8323 0.5000
Rb 0.7500 0.7500 0.0000
Rb 0.8323 0.3323 0.1646
Fe 0.2500 0.7500 0.5000
Fe 0.7500 0.2500 0.5000
Cl 0.0000 0.0000 0.0000
Cl 0.0115 0.7958 0.5000
Cl 0.2042 0.7042 0.2156
Cl 0.2958 0.5115 0.5000
Cl 0.4885 0.9885 0.7844
Cl 0.5000 0.5000 0.0000
Cl 0.5115 0.0115 0.2156
Cl 0.7042 0.4885 0.5000
Cl 0.7958 0.2958 0.7844
Cl 0.9885 0.2042 0.5000
```

Values from the calculation:
* VASP energy: -3.85 eV per atom

***

Number 1: formation energy -649 meV per atom. Number 2: formation energy -877 meV per atom. Number 3: formation energy 7 meV per atom. Number 4: formation energy -600 meV per atom. Number 5: formation energy 10 meV per atom. Number 6: formation energy -1812 meV per atom. Number 7: formation energy -80 meV per atom. Number 8: formation energy -217 meV per atom. Number 9: formation energy -1381 meV per atom. Number 10: formation energy 14 meV per atom. Number 11: formation energy -855 meV per atom. Number 12: formation energy -1897 meV per atom.